1.
# Na6BeO4, relaxed, DFT PBE
data_Na6BeO4
_symmetry_space_group_name_H-M 'P 63 m c'
_symmetry_Int_Tables_number 186
_symmetry_space_group_name_Hall 'P 6c -2c'
_cell_length_a 7.3146
_cell_length_b 7.3146
_cell_length_c 5.7681
_cell_angle_alpha 90.00
_cell_angle_beta 90.00
_cell_angle_gamma 120.00
loop_
_atom_site_label
_atom_site_type_symbol
_atom_site_fract_x
_atom_site_fract_y
_atom_site_fract_z
Na1 Na 0.0668 0.5334 0.0000
Na2 Na 0.1445 0.2891 0.6761
Be1 Be 0.3333 0.6667 0.3940
O1 O 0.2023 0.4046 0.2936
O2 O 0.3333 0.6667 0.6889
# Total moment ... 0.00 μB per cell
# Volume ... 12.1 Å³/atom
# Calculated density ... 2.62 g/cm3

2.
# MgTi11O20, relaxed, DFT PBE
data_MgTi11O20
_symmetry_space_group_name_H-M 'P 1 21/m 1'
_symmetry_Int_Tables_number 11
_cell_length_a 7.561
_cell_length_b 10.047
_cell_length_c 10.598
_cell_angle_alpha 90.00
_cell_angle_beta 109.73
_cell_angle_gamma 90.00
loop_
_symmetry_equiv_pos_as_xyz
'x,y,z'
'-x,-y,-z'
'-x,y+1/2,-z'
'x,-y+1/2,z'
loop_
_atom_site_label
_atom_site_type_symbol
_atom_site_fract_x
_atom_site_fract_y
_atom_site_fract_z
Mg1 Mg 0.152 0.250 0.272
Ti1 Ti 0.152 0.250 0.770
Ti2 Ti 0.181 0.561 0.725
Ti3 Ti 0.182 0.559 0.227
Ti4 Ti 0.315 0.061 0.523
Ti5 Ti 0.317 0.061 0.026
Ti6 Ti 0.345 0.750 0.976
Ti7 Ti 0.350 0.750 0.480
O1 O 0.093 0.067 0.360
O2 O 0.094 0.070 0.861
O3 O 0.134 0.750 0.300
O4 O 0.142 0.750 0.801
O5 O 0.226 0.120 0.662
O6 O 0.227 0.114 0.159
O7 O 0.274 0.620 0.088
O8 O 0.275 0.621 0.588
O9 O 0.367 0.250 0.951
O10 O 0.372 0.250 0.455
O11 O 0.407 0.569 0.390
O12 O 0.407 0.569 0.891
# Total moment ... 12.00 μB per cell
# Volume ... 11.8 Å³/atom
# Calculated density ... 3.82 g/cm3

| no. | energy of formation (kJ/mol of atoms) |
| --- | --- |
| 1 | -167.9 |
| 2 | -326.8 |